# V2PbO6

A geometry-optimized V2PbO6 structure (GGA+U, the Materials Project database).

## Properties
- distance to the lowest polymorph of the same formula (meV/atom) = 0
- DFT formation energy (eV/f.u.) = -19.910
- VASP energy (eV/atom) = -7.106

```
data_V2PbO6
_chemical_formula_sum 'V8 Pb4 O24'
_cell_length_a 16.255
_cell_length_b 3.714
_cell_length_c 9.673
_cell_angle_alpha 90.00
_cell_angle_beta 108.94
_cell_angle_gamma 90.00
_space_group_name_H-M_alt 'C 1 2/m 1'
_space_group_IT_number 12
_space_group_name_Hall '-C 2y'
loop_
_atom_site_label
_atom_site_type_symbol
_atom_site_fract_x
_atom_site_fract_y
_atom_site_fract_z
_atom_site_occupancy
V1 V 0.098 0.000 0.342 1
V2 V 0.165 0.500 0.139 1
Pb1 Pb 0.125 0.500 0.728 1
O1 O 0.011 0.000 0.682 1
O2 O 0.102 0.500 0.964 1
O3 O 0.107 0.500 0.293 1
O4 O 0.152 0.000 0.521 1
O5 O 0.162 0.000 0.196 1
O6 O 0.228 0.000 0.852 1
```